{
  "formula": "Mg2Co3WS8",
  "functional": "PBE",
  "state": "relaxed",
  "cell": [[-4.5595, -0.3631, 5.3995], [0.7501, -4.9813, 4.9362], [2.0981, 1.7578, 6.5275]],
  "species": ["Mg", "Mg", "Co", "Co", "Co", "W", "S", "S", "S", "S", "S", "S", "S", "S"],
  "fractional_positions": [[0.8736, 0.8791, 0.8736], [0.1264, 0.1209, 0.1264], [0.5000, 0.5000, 0.5000], [0.5000, 0.5000, 0.0000], [0.0000, 0.5000, 0.5000], [0.5000, 0.0000, 0.5000], [0.7412, 0.7197, 0.7412], [0.2588, 0.2803, 0.7022], [0.2686, 0.6943, 0.2685], [0.7022, 0.2802, 0.2588], [0.7314, 0.3057, 0.7314], [0.2978, 0.7198, 0.7412], [0.2588, 0.2803, 0.2588], [0.7412, 0.7197, 0.2978]],
  "e_tot_ev_per_atom": -5.5979,
  "e_form_ev_per_atom": -0.844
}